No. 1
Here is a geometry-optimized CsS3 structure from the Materials Project database. Energies are from r2SCAN.

Lattice parameters (Å, degrees): 4.7467 9.3153 11.6516 84.93 84.69 89.60
Positions (direct):
S: 0.5142 0.8599 0.8967
S: 0.7976 0.9864 0.7900
S: 0.6312 0.7906 0.3637
Cs: 0.1069 0.6920 0.6124
S: 0.3572 0.9644 0.3708
S: 0.3688 0.2094 0.6363
Cs: 0.0444 0.3267 0.9040
S: 0.2024 0.0136 0.2100
Cs: 0.8931 0.3080 0.3876
S: 0.4227 0.6119 0.3296
S: 0.5357 0.6525 0.8518
Cs: 0.9556 0.6733 0.0960
S: 0.5773 0.3881 0.6704
S: 0.4858 0.1401 0.1033
S: 0.4643 0.3475 0.1482
S: 0.6428 0.0356 0.6292

Output
**Crystal system**: triclinic
**Total DFT energy (no corrections)**: -12.958 eV/atom

***

No. 2
Here is a geometry-optimized Cs3SbS3 structure from the Materials Project database. Energies are from r2SCAN.

Lattice parameters (Å, degrees): 10.3791 10.3791 10.3791 90.00 90.00 90.00
Positions (direct):
Cs: 0.8215 0.8215 0.8215
S: 0.6584 0.5512 0.2418
S: 0.8416 0.4488 0.7418
Sb: 0.2243 0.7243 0.7757
S: 0.9488 0.7582 0.1584
S: 0.1584 0.9488 0.7582
Cs: 0.5582 0.4418 0.9418
Sb: 0.7243 0.7757 0.2243
S: 0.5512 0.2418 0.6584
S: 0.4488 0.7418 0.8416
Cs: 0.0582 0.0582 0.0582
Cs: 0.1785 0.3215 0.6785
S: 0.7418 0.8416 0.4488
Cs: 0.4418 0.9418 0.5582
S: 0.2418 0.6584 0.5512
Cs: 0.4394 0.0606 0.9394
S: 0.2582 0.3416 0.0512
Cs: 0.9418 0.5582 0.4418
Cs: 0.9394 0.4394 0.0606
Sb: 0.2757 0.2757 0.2757
Cs: 0.3215 0.6785 0.1785
Cs: 0.5606 0.5606 0.5606
Cs: 0.0606 0.9394 0.4394
Sb: 0.7757 0.2243 0.7243
S: 0.3416 0.0512 0.2582
S: 0.0512 0.2582 0.3416
S: 0.7582 0.1584 0.9488
Cs: 0.6785 0.1785 0.3215

Output
**Crystal system**: cubic
**Total DFT energy (no corrections)**: -19.026 eV/atom

***

No. 3
Here is a geometry-optimized Cs2Sb8S13 structure from the Materials Project database. Energies are from r2SCAN.

Lattice parameters (Å, degrees): 8.4660 11.5943 15.5355 85.57 77.95 72.68
Positions (direct):
S: 0.4460 0.2480 0.8702
Sb: 0.2973 0.5302 0.5853
Cs: 0.3645 0.8699 0.9434
S: 0.8577 0.8803 0.1755
S: 0.5552 0.3648 0.5636
S: 0.7640 0.6407 0.9166
S: 0.2360 0.3593 0.0834
S: 0.4046 0.1207 0.3039
S: 0.7280 0.8890 0.4215
S: 0.2080 0.3827 0.4438
S: 0.8404 0.5986 0.2805
S: 0.3874 0.6483 0.6899
Sb: 0.9848 0.3206 0.1831
Sb: 0.6390 0.7973 0.2723
S: 0.7920 0.6173 0.5562
Sb: 0.0344 0.2719 0.5477
S: 0.8295 0.1056 0.7055
Sb: 0.8326 0.6241 0.0668
Sb: 0.7027 0.4698 0.4147
Sb: 0.1031 0.9736 0.7300
S: 0.2720 0.1110 0.5785
Sb: 0.8969 0.0264 0.2700
Cs: 0.6355 0.1301 0.0566
S: 0.1596 0.4014 0.7195
Cs: 0.7119 0.4286 0.7674
S: 0.0240 0.8469 0.5641
S: 0.1705 0.8944 0.2945
Sb: 0.9656 0.7281 0.4523
S: 0.5540 0.7520 0.1298
Sb: 0.7477 0.0047 0.5919
S: 0.0186 0.1204 0.1272
S: 0.1423 0.1197 0.8245
Sb: 0.1674 0.3759 0.9332
Cs: 0.2881 0.5714 0.2326
Sb: 0.0152 0.6794 0.8169
S: 0.5954 0.8793 0.6961
S: 0.2174 0.5776 0.9126
S: 0.4448 0.6352 0.4364
Sb: 0.4845 0.2234 0.4214
S: 0.6126 0.3517 0.3101
Sb: 0.5155 0.7766 0.5786
S: 0.9814 0.8796 0.8728
Sb: 0.2523 0.9953 0.4081
Sb: 0.3610 0.2027 0.7277
S: 0.9760 0.1531 0.4359
S: 0.7826 0.4224 0.0874

Output
**Crystal system**: triclinic
**Total DFT energy (no corrections)**: -16.173 eV/atom

***

No. 4
Here is a geometry-optimized CsSbS6 structure from the Materials Project database. Energies are from r2SCAN.

Lattice parameters (Å, degrees): 14.7833 6.0383 11.4935 71.79 90.00 90.00
Positions (direct):
S: 0.0679 0.1124 0.8748
S: 0.6776 0.7459 0.0886
Cs: 0.9145 0.2843 0.3109
S: 0.1882 0.5870 0.4230
S: 0.6882 0.4130 0.0770
S: 0.3224 0.2541 0.9114
S: 0.5682 0.2494 0.1376
S: 0.4318 0.7506 0.8624
Cs: 0.4145 0.7157 0.1891
Sb: 0.5944 0.0857 0.3861
S: 0.8825 0.6718 0.8813
S: 0.1776 0.2541 0.4114
S: 0.8118 0.4130 0.5770
Cs: 0.0855 0.7157 0.6891
S: 0.5679 0.8876 0.6252
S: 0.8224 0.7459 0.5886
Sb: 0.4056 0.9143 0.6139
Sb: 0.0944 0.9143 0.1139
S: 0.3118 0.5870 0.9230
S: 0.7236 0.7307 0.2608
S: 0.2764 0.2693 0.7392
S: 0.1175 0.3282 0.1187
S: 0.9318 0.2494 0.6376
S: 0.9321 0.8876 0.1252
S: 0.2236 0.2693 0.2392
S: 0.3825 0.3282 0.6187
S: 0.4321 0.1124 0.3748
S: 0.7764 0.7307 0.7608
S: 0.0682 0.7506 0.3624
Sb: 0.9056 0.0857 0.8861
S: 0.6175 0.6718 0.3813
Cs: 0.5855 0.2843 0.8109

Output
**Crystal system**: monoclinic
**Total DFT energy (no corrections)**: -12.821 eV/atom